Computed, not measured: Ti2Cu3Te3O16 after structural relaxation at the PBE level of DFT.

## Properties
Space group ... Cm
Size of the total moment ... 1.00 μB/cell

```
Ti2Cu3Te3O16
1.0
5.5336 -2.9813 0.0000
5.5336 2.9813 0.0000
-0.5779 0.0000 9.2604
Ti Cu Te O
2 3 3 16
direct
0.0000 0.0000 0.0000
0.6677 0.6677 0.4543
0.1352 0.1352 0.7031
0.4836 0.9817 0.1884
0.9817 0.4836 0.1884
0.1353 0.6380 0.7040
0.4851 0.4851 0.2086
0.6380 0.1353 0.7040
0.1498 0.1498 0.0793
0.1713 0.6787 0.0848
0.2552 0.8229 0.8161
0.3250 0.3250 0.2838
0.3287 0.3287 0.8233
0.3515 0.7671 0.3528
0.4536 0.4536 0.5923
0.4760 0.9804 0.6023
0.6349 0.6349 0.1022
0.6787 0.1713 0.0848
0.7671 0.3515 0.3528
0.7829 0.7829 0.3277
0.8229 0.2552 0.8161
0.8304 0.8304 0.8313
0.9375 0.9375 0.5785
0.9804 0.4760 0.6023
```

***

Computed, not measured: ScCo2Si2 after structural relaxation at the PBE level of DFT.

## Properties
Space group ... I4/mmm

```
ScCo2Si2
1.0
-1.8881 1.8881 4.8032
1.8881 -1.8881 4.8032
1.8881 1.8881 -4.8032
Sc Co Si
1 2 2
direct
0.0000 0.0000 0.0000
0.2500 0.7500 0.5000
0.7500 0.2500 0.5000
0.3761 0.3761 0.0000
0.6239 0.6239 0.0000
```

***

Computed, not measured: Tb6IrBr10 after structural relaxation at the PBE level of DFT.

## Properties
Space group ... P-1

```
Tb6IrBr10
1.0
7.4125 0.0000 0.0000
-2.5280 8.8778 0.0000
-1.1584 -3.3760 8.5165
Tb Ir Br
6 1 10
direct
0.0232 0.1975 0.4027
0.1246 0.5438 0.2515
0.3690 0.6426 0.6831
0.6310 0.3574 0.3169
0.8754 0.4562 0.7485
0.9768 0.8025 0.5973
0.0000 0.5000 0.5000
0.0882 0.8705 0.3271
0.2030 0.2354 0.1444
0.2569 0.5851 0.9598
0.3642 0.9637 0.7771
0.4495 0.3221 0.5849
0.5505 0.6779 0.4151
0.6358 0.0363 0.2229
0.7431 0.4149 0.0402
0.7970 0.7646 0.8556
0.9118 0.1295 0.6729
```

***

Computed, not measured: Re6Se8O7F6 after structural relaxation at the PBE level of DFT.

## Properties
Space group ... C2/c
Size of the total moment ... 1.80 μB/cell

```
Re6Se8O7F6
1.0
9.6801 -6.2514 0.0000
9.6801 6.2514 0.0000
-5.2538 0.0000 9.6097
Re Se O F
12 16 14 12
direct
0.0014 0.6498 0.6551
0.0070 0.3929 0.6056
0.1841 0.4435 0.5504
0.3502 0.9986 0.8449
0.3929 0.0070 0.1056
0.4435 0.1841 0.0504
0.5565 0.8159 0.9496
0.6071 0.9930 0.8944
0.6498 0.0014 0.1551
0.8159 0.5565 0.4496
0.9930 0.6071 0.3944
0.9986 0.3502 0.3449
0.1304 0.5256 0.8400
0.1805 0.4015 0.3102
0.1834 0.6756 0.5970
0.1879 0.2096 0.5154
0.2096 0.1879 0.0154
0.3244 0.8166 0.9030
0.4015 0.1805 0.8102
0.4744 0.8696 0.6600
0.5256 0.1304 0.3400
0.5985 0.8195 0.1898
0.6756 0.1834 0.0970
0.7904 0.8121 0.9846
0.8121 0.7904 0.4846
0.8166 0.3244 0.4030
0.8195 0.5985 0.6898
0.8696 0.4744 0.1600
0.0605 0.5874 0.9699
0.1229 0.8771 0.2500
0.1542 0.8025 0.1368
0.1975 0.8458 0.3632
0.4126 0.9395 0.5301
0.4549 0.5428 0.4736
0.4572 0.5451 0.0264
0.5428 0.4549 0.9736
0.5451 0.4572 0.5264
0.5874 0.0605 0.4699
0.8025 0.1542 0.6368
0.8458 0.1975 0.8632
0.8771 0.1229 0.7500
0.9395 0.4126 0.0301
0.0054 0.2892 0.7066
0.0079 0.1847 0.1962
0.1847 0.0079 0.6962
0.2892 0.0054 0.2066
0.3610 0.4041 0.6770
0.4041 0.3610 0.1770
0.5959 0.6390 0.8230
0.6390 0.5959 0.3230
0.7108 0.9946 0.7934
0.8153 0.9921 0.3038
0.9921 0.8153 0.8038
0.9946 0.7108 0.2934
```

***

Computed, not measured: BaCa2I6 after structural relaxation at the PBE level of DFT.

## Properties
Space group ... P321
Size of the total moment ... 0.00 μB/cell

```
BaCa2I6
1.0
14.0650 0.0000 0.0000
-7.0325 12.1806 0.0000
0.0000 0.0000 7.2726
Ba Ca I
3 6 18
direct
0.0000 0.0000 0.0000
0.3333 0.6667 0.4960
0.6667 0.3333 0.5040
0.0000 0.3156 0.5000
0.0000 0.6497 0.0000
0.3156 0.0000 0.5000
0.3503 0.3503 0.0000
0.6497 0.0000 0.0000
0.6844 0.6844 0.5000
0.0965 0.5295 0.7548
0.1015 0.8632 0.7429
0.1368 0.2383 0.7429
0.2108 0.4283 0.2391
0.2175 0.7892 0.2391
0.2383 0.1368 0.2571
0.4283 0.2108 0.7609
0.4330 0.9035 0.7548
0.4705 0.5670 0.7548
0.5295 0.0965 0.2452
0.5670 0.4705 0.2452
0.5717 0.7825 0.2391
0.7617 0.8985 0.7429
0.7825 0.5717 0.7609
0.7892 0.2175 0.7609
0.8632 0.1015 0.2571
0.8985 0.7617 0.2571
0.9035 0.4330 0.2452
```

***

Computed, not measured: Na3Ca3Zr2Si4O15F3 after structural relaxation at the PBE level of DFT.

## Properties
Space group ... P-1
Size of the total moment ... 0.01 μB/cell

```
Na3Ca3Zr2Si4O15F3
1.0
9.0698 0.0000 0.0000
-1.0756 9.7544 0.0000
-0.3691 -1.1143 9.8818
Na Ca Zr Si O F
6 6 4 8 30 6
direct
0.0559 0.1352 0.3981
0.2938 0.7897 0.3711
0.3489 0.4905 0.1924
0.6511 0.5095 0.8076
0.7062 0.2103 0.6289
0.9441 0.8648 0.6019
0.0892 0.6456 0.9630
0.3183 0.4148 0.5347
0.3515 0.9211 0.0368
0.6485 0.0789 0.9632
0.6817 0.5852 0.4653
0.9108 0.3544 0.0370
0.0471 0.5075 0.3288
0.1260 0.1391 0.0662
0.8740 0.8609 0.9338
0.9529 0.4925 0.6712
0.2534 0.3909 0.8576
0.3316 0.9605 0.6566
0.4114 0.2214 0.8401
0.4415 0.1663 0.2914
0.5585 0.8337 0.7086
0.5886 0.7786 0.1599
0.6684 0.0395 0.3434
0.7466 0.6091 0.1424
0.0107 0.7195 0.3978
0.0626 0.3669 0.5019
0.0640 0.2741 0.2092
0.0854 0.5357 0.1415
0.0986 0.9101 0.0104
0.1307 0.3013 0.9387
0.2012 0.4862 0.7448
0.2554 0.5561 0.3998
0.2816 0.0796 0.2295
0.3478 0.1285 0.6958
0.3559 0.1430 0.9725
0.4091 0.7519 0.1618
0.4308 0.9055 0.8078
0.4320 0.3283 0.3320
0.4645 0.8857 0.5737
0.5355 0.1143 0.4263
0.5680 0.6717 0.6680
0.5692 0.0945 0.1922
0.5909 0.2481 0.8382
0.6441 0.8570 0.0275
0.6522 0.8715 0.3042
0.7184 0.9204 0.7705
0.7446 0.4439 0.6002
0.7988 0.5138 0.2552
0.8693 0.6987 0.0613
0.9014 0.0899 0.9896
0.9146 0.4643 0.8585
0.9360 0.7259 0.7908
0.9374 0.6331 0.4981
0.9893 0.2805 0.6022
0.1763 0.8845 0.7096
0.2297 0.9749 0.5064
0.3379 0.5176 0.9714
0.6621 0.4824 0.0286
0.7703 0.0251 0.4936
0.8237 0.1155 0.2904
```

***

Computed, not measured: LaIn3 after structural relaxation at the PBE level of DFT.

## Properties
Space group ... Pm-3m

```
LaIn3
1.0
4.7943 0.0000 0.0000
0.0000 4.7943 0.0000
0.0000 0.0000 4.7943
La In
1 3
direct
0.0000 0.0000 0.0000
0.0000 0.5000 0.5000
0.5000 0.0000 0.5000
0.5000 0.5000 0.0000
```

***

Computed, not measured: Pu2O3 after structural relaxation at the PBE level of DFT.

## Properties
Space group ... P-4m2
Size of the total moment ... 10.00 μB/cell

```
Pu2O3
1.0
3.8378 0.0000 0.0000
0.0000 3.8378 0.0000
0.0000 0.0000 5.4787
Pu O
2 3
direct
0.0000 0.5000 0.2339
0.5000 0.0000 0.7661
0.0000 0.0000 0.0000
0.0000 0.0000 0.5000
0.5000 0.5000 0.0000
```

***

Computed, not measured: HoInAu2 after structural relaxation at the PBE level of DFT.

## Properties
Space group ... Fm-3m

```
HoInAu2
1.0
0.0000 3.4946 3.4946
3.4946 0.0000 3.4946
3.4946 3.4946 0.0000
Ho In Au
1 1 2
direct
0.0000 0.0000 0.0000
0.5000 0.5000 0.5000
0.2500 0.2500 0.2500
0.7500 0.7500 0.7500
```

***

Computed, not measured: MgZn after structural relaxation at the PBE level of DFT.

## Properties
Space group ... P6_3/mmc

```
MgZn
1.0
5.3671 0.0000 0.0000
-2.6835 4.6480 0.0000
0.0000 0.0000 8.7940
Mg Zn
6 6
direct
0.0000 0.0000 0.0000
0.0000 0.0000 0.5000
0.3333 0.6667 0.0644
0.3333 0.6667 0.4356
0.6667 0.3333 0.5644
0.6667 0.3333 0.9356
0.1729 0.3458 0.7500
0.1729 0.8271 0.7500
0.3458 0.1729 0.2500
0.6542 0.8271 0.7500
0.8271 0.1729 0.2500
0.8271 0.6542 0.2500
```

***

Computed, not measured: Cu2H18N7F2 after structural relaxation at the PBE level of DFT.

## Properties
Space group ... C2
Size of the total moment ... 5.93 μB/cell

```
Cu2H18N7F2
1.0
8.9607 -2.9092 0.0000
8.9607 2.9092 0.0000
-0.1668 0.0000 10.3120
Cu H N F
4 36 14 4
direct
0.0000 0.0000 0.0000
0.0629 0.5625 0.5080
0.4375 0.9371 0.4920
0.5057 0.4943 0.0000
0.0212 0.2187 0.9065
0.0226 0.7177 0.0125
0.0293 0.2231 0.0703
0.1342 0.5008 0.7452
0.1483 0.5278 0.2747
0.1618 0.3617 0.0167
0.1994 0.1407 0.7005
0.2213 0.1517 0.2802
0.2823 0.9774 0.9875
0.3481 0.6334 0.7758
0.3666 0.6519 0.2242
0.3738 0.2668 0.9300
0.3823 0.2696 0.0909
0.4427 0.0495 0.7140
0.4456 0.4252 0.5291
0.4607 0.0672 0.2896
0.4722 0.8517 0.7253
0.4992 0.8658 0.2547
0.5211 0.2327 0.4295
0.5218 0.2111 0.5919
0.5463 0.3393 0.7913
0.5705 0.3552 0.2190
0.5748 0.5544 0.4709
0.6383 0.8382 0.9833
0.6448 0.4295 0.7810
0.6607 0.4537 0.2087
0.7304 0.6177 0.9091
0.7332 0.6262 0.0700
0.7673 0.4789 0.5705
0.7769 0.9707 0.9297
0.7813 0.9788 0.0935
0.7889 0.4782 0.4081
0.8483 0.7787 0.7198
0.8593 0.8006 0.2995
0.9328 0.5393 0.7104
0.9505 0.5573 0.2860
0.0308 0.9386 0.6848
0.0614 0.9692 0.3152
0.0951 0.1153 0.9897
0.2679 0.3637 0.0117
0.3803 0.0037 0.6769
0.3993 0.0156 0.3107
0.4327 0.3287 0.5150
0.5113 0.4723 0.8172
0.5277 0.4887 0.1828
0.6363 0.7321 0.9883
0.6713 0.5673 0.4850
0.8847 0.9049 0.0103
0.9844 0.6007 0.6893
0.9963 0.6197 0.3231
0.5792 0.1057 0.7784
0.5955 0.1262 0.2456
0.8738 0.4045 0.7544
0.8943 0.4208 0.2216
```

***

Computed, not measured: BaAs2Xe5F22 after structural relaxation at the PBE level of DFT.

## Properties
Space group ... Fmmm
Size of the total moment ... 0.00 μB/cell

```
BaAs2Xe5F22
1.0
0.0000 7.1040 7.1060
6.0160 0.0000 7.1060
6.0160 7.1040 0.0000
Ba As Xe F
1 2 5 22
direct
0.0000 0.0000 0.0000
0.0000 0.5000 0.0000
0.5000 0.0000 0.5000
0.0000 0.0000 0.5000
0.0000 0.5000 0.5000
0.5000 0.0000 0.0000
0.5000 0.5000 0.0000
0.5000 0.5000 0.5000
0.0446 0.5966 0.7784
0.0456 0.3055 0.9544
0.0549 0.6998 0.3002
0.0750 0.9250 0.6985
0.2216 0.4196 0.9554
0.3002 0.9451 0.0549
0.3015 0.6985 0.9250
0.3055 0.0456 0.6945
0.3536 0.6464 0.3536
0.4034 0.9554 0.4196
0.4196 0.2216 0.4034
0.5804 0.7784 0.5966
0.5966 0.0446 0.5804
0.6464 0.3536 0.6464
0.6945 0.9544 0.3055
0.6985 0.3015 0.0750
0.6998 0.0549 0.9451
0.7784 0.5804 0.0446
0.9250 0.0750 0.3015
0.9451 0.3002 0.6998
0.9544 0.6945 0.0456
0.9554 0.4034 0.2216
```

***

Short version: E_form = -1.699; -0.763; -1.961; -0.699; -1.884; -2.844; -0.476; -3.392; -0.703; -0.072; -0.357; -1.834 eV per atom, in the order given.
Short version: DFT total energy = -6.103; -7.071; -4.765; -6.106; -3.306; -6.857; -3.774; -11.655; -4.173; -1.502; -4.858; -3.280 eV/atom, in the order given.